# 1
{"formula": "Sc2Mo3O12", "functional": "meta-GGA r2SCAN", "state": "optimized geometry", "dft_energy_ev_per_atom": -12.85, "mass_density_g_cm3": 3.07, "formation_energy_ev_per_atom": -2.69, "cell": [[13.272, 0.000, 0.000], [0.000, 9.593, 0.000], [0.000, 0.000, 9.685]], "species": ["Sc", "Sc", "Sc", "Sc", "Sc", "Sc", "Sc", "Sc", "Mo", "Mo", "Mo", "Mo", "Mo", "Mo", "Mo", "Mo", "Mo", "Mo", "Mo", "Mo", "O", "O", "O", "O", "O", "O", "O", "O", "O", "O", "O", "O", "O", "O", "O", "O", "O", "O", "O", "O", "O", "O", "O", "O", "O", "O", "O", "O", "O", "O", "O", "O", "O", "O", "O", "O", "O", "O", "O", "O", "O", "O", "O", "O", "O", "O", "O", "O"], "frac_coords": [[0.120, 0.249, 0.036], [0.120, 0.751, 0.536], [0.380, 0.251, 0.536], [0.380, 0.749, 0.036], [0.620, 0.251, 0.964], [0.620, 0.749, 0.464], [0.880, 0.249, 0.464], [0.880, 0.751, 0.964], [0.000, 0.026, 0.750], [0.000, 0.974, 0.250], [0.145, 0.397, 0.381], [0.145, 0.603, 0.881], [0.355, 0.103, 0.881], [0.355, 0.897, 0.381], [0.500, 0.474, 0.250], [0.500, 0.526, 0.750], [0.645, 0.103, 0.619], [0.645, 0.897, 0.119], [0.855, 0.397, 0.119], [0.855, 0.603, 0.619], [0.026, 0.326, 0.421], [0.026, 0.674, 0.921], [0.060, 0.132, 0.874], [0.060, 0.868, 0.374], [0.090, 0.081, 0.170], [0.090, 0.919, 0.670], [0.141, 0.421, 0.907], [0.141, 0.579, 0.407], [0.172, 0.363, 0.206], [0.172, 0.637, 0.706], [0.237, 0.322, 0.488], [0.237, 0.678, 0.988], [0.263, 0.178, 0.988], [0.263, 0.822, 0.488], [0.328, 0.137, 0.706], [0.328, 0.863, 0.206], [0.359, 0.079, 0.407], [0.359, 0.921, 0.907], [0.410, 0.419, 0.670], [0.410, 0.581, 0.170], [0.440, 0.368, 0.374], [0.440, 0.632, 0.874], [0.474, 0.174, 0.921], [0.474, 0.826, 0.421], [0.526, 0.174, 0.579], [0.526, 0.826, 0.079], [0.560, 0.368, 0.126], [0.560, 0.632, 0.626], [0.590, 0.419, 0.830], [0.590, 0.581, 0.330], [0.641, 0.079, 0.093], [0.641, 0.921, 0.593], [0.672, 0.137, 0.794], [0.672, 0.863, 0.294], [0.737, 0.178, 0.512], [0.737, 0.822, 0.012], [0.763, 0.322, 0.012], [0.763, 0.678, 0.512], [0.828, 0.363, 0.294], [0.828, 0.637, 0.794], [0.859, 0.421, 0.593], [0.859, 0.579, 0.093], [0.910, 0.081, 0.330], [0.910, 0.919, 0.830], [0.940, 0.132, 0.626], [0.940, 0.868, 0.126], [0.974, 0.326, 0.079], [0.974, 0.674, 0.579]]}


# 2
{"formula": "ThI3", "functional": "meta-GGA r2SCAN", "state": "optimized geometry", "dft_energy_ev_per_atom": -38.17, "mass_density_g_cm3": 5.80, "formation_energy_ev_per_atom": -1.38, "cell": [[9.280, 0.000, 0.000], [0.000, 14.904, 0.000], [-4.623, 0.000, 10.142]], "species": ["Th", "Th", "Th", "Th", "Th", "Th", "Th", "Th", "I", "I", "I", "I", "I", "I", "I", "I", "I", "I", "I", "I", "I", "I", "I", "I", "I", "I", "I", "I", "I", "I", "I", "I"], "frac_coords": [[0.000, 0.000, 0.000], [0.000, 0.250, 0.000], [0.000, 0.500, 0.000], [0.000, 0.750, 0.000], [0.001, 0.000, 0.345], [0.344, 0.500, 0.345], [0.656, 0.500, 0.655], [0.999, 0.000, 0.655], [0.000, 0.180, 0.500], [0.000, 0.820, 0.500], [0.021, 0.372, 0.248], [0.021, 0.628, 0.248], [0.227, 0.130, 0.904], [0.227, 0.870, 0.904], [0.228, 0.128, 0.249], [0.228, 0.872, 0.249], [0.291, 0.500, 0.612], [0.320, 0.000, 0.611], [0.322, 0.370, 0.095], [0.322, 0.630, 0.095], [0.500, 0.320, 0.500], [0.500, 0.680, 0.500], [0.678, 0.370, 0.905], [0.678, 0.630, 0.905], [0.680, 0.000, 0.389], [0.709, 0.500, 0.388], [0.772, 0.128, 0.751], [0.772, 0.872, 0.751], [0.773, 0.130, 0.096], [0.773, 0.870, 0.096], [0.979, 0.372, 0.752], [0.979, 0.628, 0.752]]}


# 3
{"formula": "PmCdRh2", "functional": "meta-GGA r2SCAN", "state": "optimized geometry", "dft_energy_ev_per_atom": -24.99, "mass_density_g_cm3": 10.30, "formation_energy_ev_per_atom": -0.51, "cell": [[0.000, 3.342, 3.342], [3.342, 0.000, 3.342], [3.342, 3.342, 0.000]], "species": ["Pm", "Cd", "Rh", "Rh"], "frac_coords": [[0.000, 0.000, 0.000], [0.500, 0.500, 0.500], [0.250, 0.250, 0.250], [0.750, 0.750, 0.750]]}


# 4
{"formula": "PrPbAu2", "functional": "meta-GGA r2SCAN", "state": "optimized geometry", "dft_energy_ev_per_atom": -47.38, "mass_density_g_cm3": 12.89, "formation_energy_ev_per_atom": -0.67, "cell": [[0.000, 3.629, 3.629], [3.629, 0.000, 3.629], [3.629, 3.629, 0.000]], "species": ["Pr", "Pb", "Au", "Au"], "frac_coords": [[0.000, 0.000, 0.000], [0.500, 0.500, 0.500], [0.250, 0.250, 0.250], [0.750, 0.750, 0.750]]}


# 5
{"formula": "NdPt3", "functional": "meta-GGA r2SCAN", "state": "optimized geometry", "dft_energy_ev_per_atom": -46.88, "mass_density_g_cm3": 16.60, "formation_energy_ev_per_atom": -0.91, "cell": [[4.179, 0.000, 0.000], [0.000, 4.179, 0.000], [0.000, 0.000, 4.179]], "species": ["Nd", "Pt", "Pt", "Pt"], "frac_coords": [[0.000, 0.000, 0.000], [0.000, 0.500, 0.500], [0.500, 0.000, 0.500], [0.500, 0.500, 0.000]]}


# 6
{"formula": "CoRhS4", "functional": "meta-GGA r2SCAN", "state": "optimized geometry", "dft_energy_ev_per_atom": -12.09, "mass_density_g_cm3": 5.34, "formation_energy_ev_per_atom": -0.51, "cell": [[5.667, 0.000, 0.000], [0.000, 5.639, 0.000], [-0.005, 0.000, 5.643]], "species": ["Co", "Co", "Rh", "Rh", "S", "S", "S", "S", "S", "S", "S", "S"], "frac_coords": [[0.000, 0.000, 0.000], [0.000, 0.500, 0.500], [0.500, 0.000, 0.500], [0.500, 0.500, 0.000], [0.103, 0.108, 0.609], [0.103, 0.392, 0.109], [0.388, 0.607, 0.606], [0.388, 0.893, 0.106], [0.612, 0.107, 0.894], [0.612, 0.393, 0.394], [0.897, 0.608, 0.891], [0.897, 0.892, 0.391]]}


# 7
{"formula": "Ce5Pb3O", "functional": "meta-GGA r2SCAN", "state": "optimized geometry", "dft_energy_ev_per_atom": -37.84, "mass_density_g_cm3": 8.15, "formation_energy_ev_per_atom": -1.28, "cell": [[-4.352, 4.352, 7.195], [4.352, -4.352, 7.195], [4.352, 4.352, -7.195]], "species": ["Ce", "Ce", "Ce", "Ce", "Ce", "Ce", "Ce", "Ce", "Ce", "Ce", "Pb", "Pb", "Pb", "Pb", "Pb", "Pb", "O", "O"], "frac_coords": [[0.000, 0.000, 0.000], [0.000, 0.500, 0.199], [0.000, 0.500, 0.801], [0.199, 0.000, 0.500], [0.301, 0.801, 0.801], [0.500, 0.301, 0.500], [0.500, 0.500, 0.000], [0.500, 0.699, 0.500], [0.699, 0.199, 0.199], [0.801, 0.000, 0.500], [0.148, 0.352, 0.500], [0.250, 0.250, 0.000], [0.352, 0.852, 0.204], [0.648, 0.148, 0.796], [0.750, 0.750, 0.000], [0.852, 0.648, 0.500], [0.250, 0.750, 0.500], [0.750, 0.250, 0.500]]}


# 8
{"formula": "ZnPd3", "functional": "meta-GGA r2SCAN", "state": "optimized geometry", "dft_energy_ev_per_atom": -19.76, "mass_density_g_cm3": 10.93, "formation_energy_ev_per_atom": -0.31, "cell": [[5.498, 0.000, 0.000], [-2.749, 4.762, 0.000], [0.000, 0.000, 4.466]], "species": ["Zn", "Zn", "Pd", "Pd", "Pd", "Pd", "Pd", "Pd"], "frac_coords": [[0.333, 0.667, 0.250], [0.667, 0.333, 0.750], [0.168, 0.337, 0.750], [0.168, 0.832, 0.750], [0.337, 0.168, 0.250], [0.663, 0.832, 0.750], [0.832, 0.168, 0.250], [0.832, 0.663, 0.250]]}